Here is an optimized crystal structure of Mo3N2 from Materials Project. Energies are from GGA-PBE.

Computed properties:
The formation energy is 0.1341 eV per atom. The calculation puts the magnetic moment at 0.02 Bohr magnetons per cell.

Unit cell a=4.1598 b=4.1598 c=4.0788 alpha=90.00 beta=90.00 gamma=90.00
With the nearest neighbours (Å) after each atom.
Space group P4/mmm (No. 123)
Unique sites:
1 Mo 0.0000 0.0000 0.0000 x1  2 N 2.04
2 Mo 0.0000 0.5000 0.5000 x2  4 N 2.08
3 N 0.0000 0.0000 0.5000 x1  6 Mo 2.04-2.08
4 N 0.5000 0.5000 0.5000 x1  4 Mo 2.08